Entry 1:
DFT (meta-GGA r2SCAN) results for crystalline NaUBO5 at its relaxed geometry.

Geometry as CIF:
```
data_NaUBO5
_chemical_formula_sum 'Na4 U4 B4 O20'
_symmetry_space_group_name_H-M 'P b c m'
_symmetry_Int_Tables_number 57
_symmetry_space_group_name_Hall '-P 2c 2b'
_cell_length_a 5.803
_cell_length_b 10.616
_cell_length_c 6.842
_cell_angle_alpha 90.00
_cell_angle_beta 90.00
_cell_angle_gamma 90.00
loop_
_atom_site_label
_atom_site_fract_x
_atom_site_fract_y
_atom_site_fract_z
_atom_site_occupancy
Na1 0.109 0.250 0.000 1
U1 0.398 0.565 0.250 1
B1 0.295 0.649 0.750 1
O1 0.157 0.045 0.750 1
O2 0.176 0.740 0.250 1
O3 0.353 0.173 0.250 1
O4 0.366 0.589 0.582 1
```

Properties
Its formation energy is -2.938 eV per atom.

---

Entry 2:
DFT (meta-GGA r2SCAN) results for crystalline DyNi at its relaxed geometry.

Geometry as CIF:
```
data_DyNi
_chemical_formula_sum 'Dy4 Ni4'
_symmetry_space_group_name_H-M 'P n m a'
_symmetry_Int_Tables_number 62
_symmetry_space_group_name_Hall '-P 2ac 2n'
_cell_length_a 6.926
_cell_length_b 4.237
_cell_length_c 5.300
_cell_angle_alpha 90.00
_cell_angle_beta 90.00
_cell_angle_gamma 90.00
loop_
_atom_site_label
_atom_site_fract_x
_atom_site_fract_y
_atom_site_fract_z
_atom_site_occupancy
Dy1 0.181 0.250 0.133 1
Ni1 0.036 0.250 0.625 1
```

Properties
Its formation energy is -0.419 eV per atom.